{"formula": "TiZnSnO4", "functional": "PBE", "state": "optimized geometry", "spacegroup": "No. 173", "polymorph_energy_mev_per_atom": 2, "e_form_ev_per_atom": -2.43, "cell": [[4.6569, -8.0660, 0.0000], [4.6569, 8.0660, 0.0000], [0.0000, 0.0000, 9.2725]], "species": ["O", "O", "O", "O", "O", "O", "O", "O", "O", "O", "O", "O", "O", "O", "O", "O", "O", "O", "O", "O", "O", "O", "O", "O", "Sn", "Sn", "Sn", "Sn", "Sn", "Sn", "Zn", "Zn", "Zn", "Zn", "Zn", "Zn", "Ti", "Ti", "Ti", "Ti", "Ti", "Ti"], "frac_coords": [[0.1141, 0.2203, 0.5335], [0.4565, 0.8932, 0.4862], [0.5633, 0.4565, 0.9862], [0.8859, 0.7797, 0.0335], [0.8985, 0.2577, 0.7474], [0.2131, 0.4398, 0.9249], [0.2203, 0.1062, 0.0335], [0.2268, 0.7869, 0.9249], [0.7869, 0.5602, 0.4249], [0.1015, 0.7423, 0.2474], [0.8938, 0.1141, 0.0335], [0.4367, 0.5435, 0.4862], [0.7423, 0.6408, 0.7474], [0.2577, 0.3592, 0.2474], [0.8932, 0.4367, 0.9862], [0.7732, 0.2131, 0.4249], [0.1068, 0.5633, 0.4862], [0.7797, 0.8938, 0.5335], [0.4398, 0.2268, 0.4249], [0.5435, 0.1068, 0.9862], [0.5602, 0.7732, 0.9249], [0.1062, 0.8859, 0.5335], [0.6408, 0.8985, 0.2474], [0.3592, 0.1015, 0.7474], [0.0000, 0.0000, 0.1709], [0.3333, 0.6667, 0.3312], [0.6667, 0.3333, 0.8312], [0.0000, 0.0000, 0.6709], [0.6667, 0.3333, 0.2952], [0.3333, 0.6667, 0.7952], [0.0233, 0.6682, 0.0500], [0.6682, 0.6449, 0.5500], [0.3551, 0.0233, 0.5500], [0.3318, 0.3551, 0.0500], [0.9767, 0.3318, 0.5500], [0.6449, 0.9767, 0.0500], [0.3087, 0.3256, 0.4266], [0.0169, 0.6913, 0.4266], [0.9831, 0.3087, 0.9266], [0.6913, 0.6744, 0.9266], [0.6744, 0.9831, 0.4266], [0.3256, 0.0169, 0.9266]]}

=====

{"formula": "Na3MgTaSiP2O12", "functional": "PBE", "state": "optimized geometry", "polymorph_energy_mev_per_atom": 10, "e_form_ev_per_atom": -2.87, "cell": [[13.0817, 0.0000, -8.5715], [0.0000, 8.9956, 0.0000], [-0.1805, 0.0000, 8.8572]], "species": ["O", "O", "O", "O", "O", "O", "O", "O", "O", "O", "O", "O", "O", "O", "O", "O", "O", "O", "O", "O", "O", "O", "O", "O", "O", "O", "O", "O", "O", "O", "O", "O", "O", "O", "O", "O", "O", "O", "O", "O", "O", "O", "O", "O", "O", "O", "O", "O", "Na", "Na", "Na", "Na", "Na", "Na", "Na", "Na", "Na", "Na", "Na", "Na", "P", "P", "P", "P", "P", "P", "P", "P", "Mg", "Mg", "Mg", "Mg", "Si", "Si", "Si", "Si", "Ta", "Ta", "Ta", "Ta"], "frac_coords": [[0.3563, 0.1429, 0.0873], [0.4370, 0.5688, 0.5909], [0.7558, 0.3538, 0.7449], [0.1451, 0.3247, 0.9095], [0.3563, 0.8571, 0.5873], [0.4370, 0.4312, 0.0909], [0.5695, 0.6439, 0.2396], [0.0606, 0.0466, 0.9356], [0.9370, 0.9312, 0.0909], [0.2462, 0.3052, 0.7557], [0.6451, 0.8247, 0.9095], [0.1451, 0.6753, 0.4095], [0.2558, 0.1462, 0.2449], [0.5353, 0.8215, 0.5543], [0.8563, 0.3571, 0.5873], [0.5695, 0.3561, 0.7396], [0.9527, 0.6566, 0.4335], [0.9118, 0.1380, 0.2507], [0.0353, 0.3215, 0.5543], [0.0695, 0.1439, 0.2396], [0.1504, 0.4313, 0.2368], [0.0695, 0.8561, 0.7396], [0.7462, 0.1948, 0.2557], [0.6504, 0.9313, 0.2368], [0.0353, 0.6785, 0.0543], [0.2462, 0.6948, 0.2557], [0.8548, 0.4231, 0.2557], [0.4527, 0.8434, 0.9335], [0.3548, 0.0769, 0.7557], [0.9118, 0.8620, 0.7507], [0.8563, 0.6429, 0.0873], [0.0606, 0.9534, 0.4356], [0.4118, 0.6380, 0.2507], [0.9527, 0.3434, 0.9335], [0.5606, 0.4534, 0.4356], [0.5353, 0.1785, 0.0543], [0.4527, 0.1566, 0.4335], [0.3548, 0.9231, 0.2557], [0.1504, 0.5687, 0.7368], [0.8548, 0.5769, 0.7557], [0.7558, 0.6462, 0.2449], [0.6451, 0.1753, 0.4095], [0.9370, 0.0688, 0.5909], [0.7462, 0.8052, 0.7557], [0.5606, 0.5466, 0.9356], [0.6504, 0.0687, 0.7368], [0.2558, 0.8538, 0.7449], [0.4118, 0.3620, 0.7507], [0.1826, 0.9338, 0.2976], [0.1826, 0.0662, 0.7976], [0.5110, 0.8910, 0.2574], [0.6826, 0.5662, 0.7976], [0.7521, 0.7794, 0.4808], [0.0110, 0.3910, 0.2574], [0.5110, 0.1090, 0.7574], [0.2521, 0.7206, 0.9808], [0.7521, 0.2206, 0.9808], [0.6826, 0.4338, 0.2976], [0.0110, 0.6090, 0.7574], [0.2521, 0.2794, 0.4808], [0.9991, 0.9585, 0.7616], [0.8551, 0.6002, 0.2630], [0.4991, 0.5415, 0.2616], [0.4991, 0.4585, 0.7616], [0.8551, 0.3998, 0.7630], [0.3551, 0.1002, 0.2630], [0.9991, 0.0415, 0.2616], [0.3551, 0.8998, 0.7630], [0.1028, 0.2532, 0.0615], [0.6028, 0.7532, 0.0615], [0.1028, 0.7468, 0.5615], [0.6028, 0.2468, 0.5615], [0.6471, 0.1088, 0.2465], [0.6471, 0.8912, 0.7465], [0.1471, 0.6088, 0.2465], [0.1471, 0.3912, 0.7465], [0.3950, 0.7447, 0.4370], [0.3950, 0.2553, 0.9370], [0.8950, 0.2447, 0.4370], [0.8950, 0.7553, 0.9370]]}

=====

{"formula": "Zr2Ir", "functional": "PBE", "state": "optimized geometry", "spacegroup": "No. 140", "e_form_ev_per_atom": -0.67, "cell": [[-3.2716, 3.2716, 2.8895], [3.2716, -3.2716, 2.8895], [3.2716, 3.2716, -2.8895]], "species": ["Ir", "Ir", "Zr", "Zr", "Zr", "Zr"], "frac_coords": [[0.7500, 0.7500, 0.0000], [0.2500, 0.2500, 0.0000], [0.6716, 0.1716, 0.8432], [0.8284, 0.6716, 0.5000], [0.3284, 0.8284, 0.1568], [0.1716, 0.3284, 0.5000]]}

=====

{"formula": "CuH12N2Cl4O2", "functional": "PBE", "state": "optimized geometry", "spacegroup": "No. 1", "polymorph_energy_mev_per_atom": 11, "e_form_ev_per_atom": -0.76, "cell": [[7.7099, 0.0000, 0.0000], [0.1788, 7.7219, 0.0000], [0.0494, 0.0713, 7.9883]], "species": ["H", "H", "H", "H", "H", "H", "H", "H", "H", "H", "H", "H", "H", "H", "H", "H", "H", "H", "H", "H", "H", "H", "H", "H", "Cl", "Cl", "Cl", "Cl", "Cl", "Cl", "Cl", "Cl", "N", "N", "N", "N", "Cu", "Cu", "O", "O", "O", "O"], "frac_coords": [[0.4044, 0.0648, 0.1584], [0.0530, 0.4050, 0.2074], [0.8984, 0.5378, 0.7016], [0.9243, 0.0777, 0.3223], [0.0395, 0.6157, 0.8441], [0.3998, 0.9065, 0.6960], [0.5000, 0.0960, 0.6581], [0.4561, 0.9541, 0.3370], [0.0528, 0.4051, 0.7949], [0.1092, 0.5628, 0.6555], [0.4299, 0.4247, 0.1810], [0.0746, 0.9289, 0.3218], [0.0711, 0.9296, 0.6798], [0.5896, 0.9482, 0.7945], [0.6025, 0.0833, 0.2416], [0.5746, 0.5720, 0.8207], [0.5500, 0.8952, 0.1515], [0.8980, 0.5369, 0.3001], [0.9216, 0.0784, 0.6768], [0.1088, 0.5604, 0.3440], [0.0406, 0.6166, 0.1556], [0.4300, 0.4246, 0.8228], [0.4041, 0.0628, 0.8439], [0.5754, 0.5710, 0.1758], [0.3008, 0.2937, 0.5011], [0.2034, 0.7925, 0.9990], [0.7140, 0.6970, 0.4975], [0.2775, 0.2792, 0.0019], [0.2293, 0.7871, 0.4995], [0.7863, 0.2132, 0.0003], [0.7835, 0.2178, 0.4975], [0.7102, 0.7207, 0.9945], [0.5024, 0.9985, 0.2232], [0.0227, 0.5272, 0.2514], [0.0229, 0.5274, 0.7491], [0.4750, 0.0025, 0.7486], [0.9919, 0.0032, 0.0009], [0.5130, 0.4873, 0.5002], [0.9980, 0.0022, 0.2489], [0.9965, 0.0051, 0.7518], [0.4964, 0.5054, 0.2503], [0.4945, 0.5056, 0.7497]]}

=====

{"formula": "Na3LaZn3S6O24", "functional": "PBE", "state": "optimized geometry", "spacegroup": "No. 1", "e_form_ev_per_atom": -2.11, "cell": [[-7.4727, 0.1110, -4.9644], [7.3598, -4.1025, -3.0760], [-6.8801, -19.9218, 9.9923]], "species": ["O", "O", "O", "O", "O", "O", "O", "O", "O", "O", "O", "O", "O", "O", "O", "O", "O", "O", "O", "O", "O", "O", "O", "O", "O", "O", "O", "O", "O", "O", "O", "O", "O", "O", "O", "O", "O", "O", "O", "O", "O", "O", "O", "O", "O", "O", "O", "O", "O", "O", "O", "O", "O", "O", "O", "O", "O", "O", "O", "O", "O", "O", "O", "O", "O", "O", "O", "O", "O", "O", "O", "O", "Zn", "Zn", "Zn", "Zn", "Zn", "Zn", "Zn", "Zn", "Zn", "Na", "Na", "Na", "Na", "Na", "Na", "Na", "Na", "Na", "La", "La", "La", "S", "S", "S", "S", "S", "S", "S", "S", "S", "S", "S", "S", "S", "S", "S", "S", "S", "S"], "frac_coords": [[0.9671, 0.1811, 0.3025], [0.0314, 0.1884, 0.9140], [0.3400, 0.8495, 0.5813], [0.5078, 0.8519, 0.0832], [0.4703, 0.2949, 0.7440], [0.4719, 0.1144, 0.6368], [0.5304, 0.6879, 0.2555], [0.1823, 0.1795, 0.0966], [0.6480, 0.1222, 0.4138], [0.5402, 0.6611, 0.8657], [0.5111, 0.6562, 0.5788], [0.1953, 0.1934, 0.6947], [0.8843, 0.3647, 0.6355], [0.6801, 0.5268, 0.2441], [0.8253, 0.5300, 0.7430], [0.8102, 0.7830, 0.3033], [0.8245, 0.8122, 0.5931], [0.8669, 0.3355, 0.9209], [0.1375, 0.6840, 0.7460], [0.3069, 0.4578, 0.4646], [0.0307, 0.2124, 0.1994], [0.3216, 0.8489, 0.2569], [0.1436, 0.4987, 0.5801], [0.4330, 0.3050, 0.0383], [0.5416, 0.8496, 0.4645], [0.9728, 0.7915, 0.7979], [0.9983, 0.1851, 0.5939], [0.5510, 0.6953, 0.9702], [0.4686, 0.1329, 0.9209], [0.1374, 0.6622, 0.3642], [0.1814, 0.9996, 0.5934], [0.1443, 0.4490, 0.9703], [0.4657, 0.3571, 0.1421], [0.6953, 0.1283, 0.0383], [0.3050, 0.8560, 0.9702], [0.8755, 0.5722, 0.0352], [0.8204, 0.0029, 0.0968], [0.8116, 0.8426, 0.9139], [0.4298, 0.1242, 0.5337], [0.7006, 0.5657, 0.5343], [0.1904, 0.9755, 0.1986], [0.6639, 0.5311, 0.9210], [0.8151, 0.0282, 0.8006], [0.3381, 0.4704, 0.3583], [0.3169, 0.4539, 0.7468], [0.7874, 0.8149, 0.1996], [0.7055, 0.1753, 0.7435], [0.1571, 0.9688, 0.9137], [0.8407, 0.3066, 0.2434], [0.5459, 0.8630, 0.7469], [0.8904, 0.5302, 0.1384], [0.4701, 0.1595, 0.2454], [0.1571, 0.4651, 0.2573], [0.8754, 0.5256, 0.4159], [0.9968, 0.8171, 0.0959], [0.3390, 0.8794, 0.8657], [0.2132, 0.1851, 0.8007], [0.1612, 0.1979, 0.4093], [0.8722, 0.3055, 0.5330], [0.3435, 0.4919, 0.0832], [0.4747, 0.3523, 0.4142], [0.6422, 0.1082, 0.1421], [0.2141, 0.0292, 0.3023], [0.5304, 0.8662, 0.3582], [0.1204, 0.4596, 0.8657], [0.9987, 0.8014, 0.6915], [0.1488, 0.6571, 0.0817], [0.1429, 0.6922, 0.4702], [0.8052, 0.9993, 0.6947], [0.0361, 0.8391, 0.4108], [0.6406, 0.5264, 0.6368], [0.8026, 0.9634, 0.4096], [0.3250, 0.6658, 0.3196], [0.3427, 0.6650, 0.5127], [0.9996, 0.0062, 0.6537], [0.0002, 0.0013, 0.8467], [0.6751, 0.3409, 0.1729], [0.6618, 0.3285, 0.6850], [0.3325, 0.6666, 0.0144], [0.0003, 0.9960, 0.1526], [0.9996, 0.9949, 0.3492], [0.3196, 0.6654, 0.1593], [0.3478, 0.6652, 0.6618], [0.9998, 0.9992, 0.9978], [0.0270, 0.6952, 0.5880], [0.6835, 0.3487, 0.3295], [0.6660, 0.3325, 0.8259], [0.9988, 0.0129, 0.4988], [0.6331, 0.9986, 0.2483], [0.3663, 0.3659, 0.2479], [0.6617, 0.3275, 0.4812], [0.6666, 0.3334, 0.9864], [0.3328, 0.6666, 0.8092], [0.6664, 0.0209, 0.0904], [0.0519, 0.6823, 0.4150], [0.6423, 0.6860, 0.9184], [0.9988, 0.2910, 0.2507], [0.9811, 0.7036, 0.7449], [0.7074, 0.7053, 0.2506], [0.3177, 0.3710, 0.4118], [0.7226, 0.0188, 0.7465], [0.9787, 0.6450, 0.0886], [0.2961, 0.2771, 0.7467], [0.6657, 0.6395, 0.5873], [0.3590, 0.0250, 0.5878], [0.3545, 0.3337, 0.0903], [0.2937, 0.0002, 0.2509], [0.9740, 0.3351, 0.5873], [0.3140, 0.9565, 0.9183], [0.6287, 0.9459, 0.4117], [0.0434, 0.3574, 0.9183]]}

=====

{"formula": "La8Nb7S22", "functional": "PBE", "state": "optimized geometry", "spacegroup": "No. 37", "e_form_ev_per_atom": -2.06, "cell": [[11.5121, -11.6622, 0.0000], [11.5121, 11.6622, 0.0000], [0.0000, 0.0000, 5.8394]], "species": ["S", "S", "S", "S", "S", "S", "S", "S", "S", "S", "S", "S", "S", "S", "S", "S", "S", "S", "S", "S", "S", "S", "S", "S", "S", "S", "S", "S", "S", "S", "S", "S", "S", "S", "S", "S", "S", "S", "S", "S", "S", "S", "S", "S", "La", "La", "La", "La", "La", "La", "La", "La", "La", "La", "La", "La", "La", "La", "La", "La", "Nb", "Nb", "Nb", "Nb", "Nb", "Nb", "Nb", "Nb", "Nb", "Nb", "Nb", "Nb", "Nb", "Nb"], "frac_coords": [[0.8878, 0.0129, 0.4218], [0.3881, 0.5130, 0.4261], [0.7163, 0.6468, 0.6671], [0.9871, 0.1122, 0.9218], [0.7365, 0.3627, 0.9170], [0.7850, 0.8517, 0.1707], [0.9279, 0.7124, 0.1667], [0.3532, 0.2837, 0.1671], [0.5690, 0.0713, 0.6680], [0.0721, 0.2876, 0.1667], [0.1389, 0.7625, 0.4298], [0.4943, 0.1393, 0.1715], [0.7124, 0.9279, 0.6667], [0.5130, 0.3881, 0.9261], [0.2375, 0.8611, 0.9298], [0.9964, 0.6398, 0.6681], [0.6373, 0.2635, 0.4170], [0.0713, 0.5690, 0.1680], [0.6468, 0.7163, 0.1671], [0.3627, 0.7365, 0.4170], [0.1393, 0.4943, 0.6715], [0.9287, 0.4310, 0.1680], [0.5057, 0.8607, 0.1715], [0.4310, 0.9287, 0.6680], [0.2097, 0.4286, 0.1697], [0.0129, 0.8878, 0.9218], [0.6398, 0.9964, 0.1681], [0.7625, 0.1389, 0.9298], [0.8607, 0.5057, 0.6715], [0.1483, 0.2150, 0.6707], [0.5714, 0.7903, 0.6697], [0.8517, 0.7850, 0.6707], [0.0036, 0.3602, 0.6681], [0.3602, 0.0036, 0.1681], [0.6119, 0.4870, 0.4261], [0.4870, 0.6119, 0.9261], [0.2150, 0.1483, 0.1707], [0.2876, 0.0721, 0.6667], [0.2635, 0.6373, 0.9170], [0.1122, 0.9871, 0.4218], [0.7903, 0.5714, 0.1697], [0.2837, 0.3532, 0.6671], [0.8611, 0.2375, 0.4298], [0.4286, 0.2097, 0.6697], [0.3614, 0.4839, 0.9315], [0.8602, 0.9868, 0.9205], [0.5161, 0.6386, 0.4315], [0.7638, 0.3905, 0.4108], [0.8901, 0.2656, 0.9394], [0.3905, 0.7638, 0.9108], [0.2656, 0.8901, 0.4394], [0.1398, 0.0132, 0.9205], [0.4839, 0.3614, 0.4315], [0.1099, 0.7344, 0.9394], [0.7344, 0.1099, 0.4394], [0.2362, 0.6095, 0.4108], [0.6386, 0.5161, 0.9315], [0.0132, 0.1398, 0.4205], [0.6095, 0.2362, 0.9108], [0.9868, 0.8602, 0.4205], [0.4283, 0.0701, 0.5021], [0.5717, 0.9299, 0.5021], [0.6445, 0.8570, 0.9995], [0.7866, 0.7128, 0.0008], [0.8570, 0.6445, 0.4995], [0.7128, 0.7866, 0.5008], [0.5000, 0.0000, 0.9991], [0.9299, 0.5717, 0.0021], [0.1430, 0.3555, 0.4995], [0.0701, 0.4283, 0.0021], [0.2872, 0.2134, 0.5008], [0.2134, 0.2872, 0.0008], [0.3555, 0.1430, 0.9995], [0.0000, 0.5000, 0.4991]]}